The following is a DFT calculation (PBE) of a geometry-optimized LuAgSe2 structure.

Cell: 4.191 6.815 13.678 Å, 90.00 90.00 90.00°
Sites, in units of the cell vectors:
Lu 0.272 0.710 0.629
Lu 0.772 0.790 0.371
Lu 0.728 0.210 0.871
Lu 0.228 0.290 0.129
Ag 0.499 0.706 0.878
Ag 0.999 0.794 0.122
Ag 0.501 0.206 0.622
Ag 0.001 0.294 0.378
Se 0.772 0.913 0.727
Se 0.272 0.587 0.273
Se 0.228 0.413 0.773
Se 0.728 0.087 0.227
Se 0.770 0.518 0.528
Se 0.270 0.982 0.472
Se 0.230 0.018 0.972
Se 0.730 0.482 0.028

Results
As for the MP2020-corrected energy: -5.001 eV/atom. As for the formation energy: -1414 meV per atom.